No. 1
DFT (meta-GGA r2SCAN) results for a relaxed structure of USbRh.

Calculated values
total magnetization = 0.667 μB/atom
ΔE_f = -0.73 eV per atom

Unit cell a=6.562 b=6.562 c=6.562 alpha=90.00 beta=90.00 gamma=90.00
Space group F-43m (No. 216)
Symmetry-distinct sites (fractional):
1 U 0.000 0.000 0.000 [4 per cell]
2 Sb 0.000 0.000 0.500 [4 per cell]
3 Rh 0.250 0.250 0.250 [4 per cell]



No. 2
DFT (meta-GGA r2SCAN) results for a relaxed structure of NdPS.

Calculated values
total magnetization = 0.000 μB/atom
ΔE_f = -1.79 eV per atom

Unit cell a=5.583 b=5.517 c=17.188 alpha=90.00 beta=90.00 gamma=90.00
Space group Pnma (No. 62)
Symmetry-distinct sites (fractional):
1 Nd 0.016 0.250 0.148 [4 per cell]
2 Nd 0.017 0.750 0.362 [4 per cell]
3 P 0.194 0.546 0.997 [8 per cell]
4 S 0.012 0.250 0.317 [4 per cell]
5 S 0.015 0.750 0.189 [4 per cell]



No. 3
DFT (meta-GGA r2SCAN) results for a relaxed structure of MnBe2Ir.

Calculated values
total magnetization = 0.845 μB/atom
ΔE_f = -0.58 eV per atom

Unit cell a=5.547 b=5.547 c=5.547 alpha=90.00 beta=90.00 gamma=90.00
Space group Fm-3m (No. 225)
Symmetry-distinct sites (fractional):
1 Mn 0.000 0.000 0.000 [4 per cell]
2 Be 0.250 0.250 0.250 [8 per cell]
3 Ir 0.000 0.000 0.500 [4 per cell]



No. 4
DFT (meta-GGA r2SCAN) results for a relaxed structure of CaGe2Pt2.

Calculated values
total magnetization = 0.000 μB/atom
ΔE_f = -0.85 eV per atom

Unit cell a=4.352 b=4.352 c=9.956 alpha=90.00 beta=90.01 gamma=90.00
Space group P2_1 (No. 4)
Symmetry-distinct sites (fractional):
1 Ca 0.249 0.000 0.247 [2 per cell]
2 Ge 0.250 0.501 0.000 [2 per cell]
3 Ge 0.250 0.999 0.628 [2 per cell]
4 Pt 0.250 0.001 0.874 [2 per cell]
5 Pt 0.251 0.499 0.500 [2 per cell]



No. 5
DFT (meta-GGA r2SCAN) results for a relaxed structure of Sr2ZnHg.

Calculated values
total magnetization = 0.000 μB/atom
ΔE_f = -0.34 eV per atom

Unit cell a=7.871 b=7.871 c=7.871 alpha=90.00 beta=90.00 gamma=90.00
Space group Fm-3m (No. 225)
Symmetry-distinct sites (fractional):
1 Sr 0.250 0.250 0.250 [8 per cell]
2 Zn 0.000 0.000 0.000 [4 per cell]
3 Hg 0.000 0.000 0.500 [4 per cell]



No. 6
DFT (meta-GGA r2SCAN) results for a relaxed structure of Ti7S12.

Calculated values
total magnetization = 0.001 μB/atom
ΔE_f = -1.55 eV per atom

Unit cell a=6.850 b=9.042 c=11.763 alpha=80.48 beta=89.85 gamma=79.04
Space group P-1 (No. 2)
Symmetry-distinct sites (fractional):
1 Ti 0.000 0.000 0.000 [1 per cell]
2 Ti 0.078 0.666 0.500 [2 per cell]
3 Ti 0.170 0.322 0.999 [2 per cell]
4 Ti 0.252 0.002 0.502 [2 per cell]
5 Ti 0.320 0.723 0.735 [2 per cell]
6 Ti 0.333 0.669 0.005 [2 per cell]
7 Ti 0.418 0.338 0.498 [2 per cell]
8 Ti 0.500 0.000 0.000 [1 per cell]
9 S 0.031 0.863 0.627 [2 per cell]
10 S 0.061 0.752 0.123 [2 per cell]
11 S 0.109 0.583 0.879 [2 per cell]
12 S 0.131 0.473 0.377 [2 per cell]
13 S 0.200 0.197 0.620 [2 per cell]
14 S 0.229 0.082 0.121 [2 per cell]
15 S 0.272 0.915 0.874 [2 per cell]
16 S 0.299 0.803 0.384 [2 per cell]
17 S 0.368 0.521 0.629 [2 per cell]
18 S 0.399 0.414 0.126 [2 per cell]
19 S 0.437 0.249 0.877 [2 per cell]
20 S 0.462 0.137 0.373 [2 per cell]



No. 7
DFT (meta-GGA r2SCAN) results for a relaxed structure of La4S3N2.

Calculated values
total magnetization = 0.000 μB/atom
ΔE_f = -2.23 eV per atom

Unit cell a=6.706 b=15.654 c=4.085 alpha=90.00 beta=90.00 gamma=90.00
Space group Pnnm (No. 58)
Symmetry-distinct sites (fractional):
1 La 0.221 0.065 0.000 [4 per cell]
2 La 0.228 0.844 0.500 [4 per cell]
3 S 0.000 0.500 0.000 [2 per cell]
4 S 0.213 0.201 0.500 [4 per cell]
5 N 0.127 0.917 0.000 [4 per cell]



No. 8
DFT (meta-GGA r2SCAN) results for a relaxed structure of CeSiNi4.

Calculated values
total magnetization = 0.035 μB/atom
ΔE_f = -0.56 eV per atom

Unit cell a=5.027 b=8.070 c=4.002 alpha=90.00 beta=90.00 gamma=90.00
Space group Cmmm (No. 65)
Symmetry-distinct sites (fractional):
1 Ce 0.000 0.000 0.000 [2 per cell]
2 Si 0.000 0.500 0.500 [2 per cell]
3 Ni 0.000 0.338 0.000 [4 per cell]
4 Ni 0.250 0.250 0.500 [4 per cell]